A plane-wave DFT calculation with GGA-PBE was carried out for a relaxed YSi2Pt2 crystal.

Cell: 4.1793 4.1793 9.9836 Å, 90.00 90.00 90.00°
With the nearest neighbours (Å) after each atom.
Space group P4/nmm (No. 129, origin choice 2)
Inequivalent atoms, fractional coordinates:
Y: 0.2500 0.2500 0.2480 [2 per cell]  8 Si 3.17-3.24, 8 Pt 3.21-3.27
Si: 0.2500 0.2500 0.6378 [2 per cell]  5 Pt 2.38-2.50
Si: 0.2500 0.7500 0.0000 [2 per cell]  4 Pt 2.43
Pt: 0.2500 0.2500 0.8764 [2 per cell]  5 Si 2.38-2.43
Pt: 0.2500 0.7500 0.5000 [2 per cell]  4 Si 2.50

- Calculated formation energy: -1089 meV/atom